1.
# Sr2FeMoO6 | the Materials Project | PBE+U | optimized geometry
# * total moment: 60.01 μB per cell
# * energy of formation: -2.5330 eV/atom
# * crystal system: triclinic
data_Sr2FeMoO6
_chemical_formula_sum 'Sr20 Fe10 Mo10 O60'
_space_group_name_H-M_alt 'P -1'
_space_group_IT_number 2
_cell_length_a 5.608
_cell_length_b 5.624
_cell_length_c 40.641
_cell_angle_alpha 89.99
_cell_angle_beta 89.97
_cell_angle_gamma 89.69
loop_
_space_group_symop_operation_xyz
'x,y,z'
'-x,-y,-z'
loop_
_atom_site_label
_atom_site_type_symbol
_atom_site_fract_x
_atom_site_fract_y
_atom_site_fract_z
Sr1 Sr 0.248 0.247 0.400
Sr2 Sr 0.249 0.249 0.800
Sr3 Sr 0.249 0.250 0.100
Sr4 Sr 0.250 0.250 0.000
Sr5 Sr 0.250 0.251 0.501
Sr6 Sr 0.250 0.251 0.700
Sr7 Sr 0.251 0.248 0.200
Sr8 Sr 0.251 0.248 0.299
Sr9 Sr 0.251 0.252 0.600
Sr10 Sr 0.252 0.249 0.900
Fe1 Fe 0.250 0.748 0.450
Fe2 Fe 0.250 0.752 0.650
Fe3 Fe 0.251 0.751 0.851
Fe4 Fe 0.251 0.751 0.949
Fe5 Fe 0.252 0.750 0.250
Mo1 Mo 0.248 0.750 0.750
Mo2 Mo 0.249 0.749 0.049
Mo3 Mo 0.250 0.748 0.350
Mo4 Mo 0.250 0.749 0.151
Mo5 Mo 0.250 0.752 0.550
O1 O 0.029 0.455 0.850
O2 O 0.030 0.451 0.451
O3 O 0.031 0.049 0.950
O4 O 0.038 0.044 0.550
O5 O 0.038 0.458 0.050
O6 O 0.039 0.040 0.150
O7 O 0.039 0.468 0.250
O8 O 0.041 0.026 0.750
O9 O 0.041 0.464 0.650
O10 O 0.045 0.027 0.350
O11 O 0.247 0.749 0.800
O12 O 0.249 0.749 0.100
O13 O 0.249 0.751 0.700
O14 O 0.250 0.745 0.400
O15 O 0.250 0.750 0.500
O16 O 0.251 0.748 0.000
O17 O 0.251 0.754 0.600
O18 O 0.252 0.752 0.200
O19 O 0.252 0.752 0.300
O20 O 0.253 0.752 0.900
O21 O 0.454 0.469 0.350
O22 O 0.455 0.473 0.750
O23 O 0.459 0.458 0.151
O24 O 0.460 0.039 0.650
O25 O 0.461 0.039 0.050
O26 O 0.463 0.460 0.550
O27 O 0.464 0.033 0.250
O28 O 0.469 0.046 0.450
O29 O 0.471 0.453 0.950
O30 O 0.472 0.047 0.849


2.
# SrFeMoO5 | the Materials Project | PBE+U | optimized geometry
# * total moment: 4.00 μB per cell
# * energy of formation: -2.1447 eV/atom
# * crystal system: triclinic
data_SrFeMoO5
_chemical_formula_sum 'Sr1 Fe1 Mo1 O5'
_space_group_name_H-M_alt 'P 1'
_space_group_IT_number 1
_cell_length_a 4.858
_cell_length_b 4.986
_cell_length_c 6.080
_cell_angle_alpha 111.49
_cell_angle_beta 109.57
_cell_angle_gamma 93.43
loop_
_space_group_symop_operation_xyz
'x,y,z'
loop_
_atom_site_label
_atom_site_type_symbol
_atom_site_fract_x
_atom_site_fract_y
_atom_site_fract_z
Sr1 Sr 0.000 0.000 0.000
Fe1 Fe 0.640 0.653 0.373
Mo1 Mo 0.273 0.284 0.623
O1 O 0.388 0.005 0.396
O2 O 0.401 0.414 0.994
O3 O 0.572 0.602 0.687
O4 O 0.974 0.374 0.400
O5 O 0.990 0.985 0.610


3.
# Sr2FeMoO6 | the Materials Project | PBE+U | optimized geometry
# * total moment: 12.00 μB per cell
# * energy of formation: -2.5321 eV/atom
# * crystal system: tetragonal
data_Sr2FeMoO6
_chemical_formula_sum 'Sr4 Fe2 Mo2 O12'
_space_group_name_H-M_alt 'I 4/m'
_space_group_IT_number 87
_space_group_name_Hall '-I 4'
_cell_length_a 5.689
_cell_length_b 5.689
_cell_length_c 7.917
_cell_angle_alpha 90.00
_cell_angle_beta 90.00
_cell_angle_gamma 90.00
loop_
_atom_site_label
_atom_site_type_symbol
_atom_site_fract_x
_atom_site_fract_y
_atom_site_fract_z
Sr1 Sr 0.000 0.500 0.250
Fe1 Fe 0.000 0.000 0.000
Mo1 Mo 0.000 0.000 0.500
O1 O 0.000 0.000 0.256
O2 O 0.223 0.725 0.000


4.
# Sr2FeMoO6 | the Materials Project | PBE+U | optimized geometry
# * total moment: 72.00 μB per cell
# * energy of formation: -2.5332 eV/atom
# * crystal system: triclinic
data_Sr2FeMoO6
_chemical_formula_sum 'Sr24 Fe12 Mo12 O72'
_space_group_name_H-M_alt 'P 1'
_space_group_IT_number 1
_cell_length_a 5.628
_cell_length_b 5.637
_cell_length_c 48.653
_cell_angle_alpha 90.01
_cell_angle_beta 90.01
_cell_angle_gamma 90.05
loop_
_space_group_symop_operation_xyz
'x,y,z'
loop_
_atom_site_label
_atom_site_type_symbol
_atom_site_fract_x
_atom_site_fract_y
_atom_site_fract_z
Sr1 Sr 0.000 0.000 0.000
Sr2 Sr 0.000 0.000 0.416
Sr3 Sr 0.000 0.000 0.500
Sr4 Sr 0.000 0.000 0.750
Sr5 Sr 0.000 0.000 0.834
Sr6 Sr 0.000 0.001 0.583
Sr7 Sr 0.000 0.999 0.666
Sr8 Sr 0.001 0.001 0.332
Sr9 Sr 0.002 0.998 0.248
Sr10 Sr 0.499 0.501 0.167
Sr11 Sr 0.500 0.498 0.249
Sr12 Sr 0.500 0.499 0.666
Sr13 Sr 0.500 0.499 0.917
Sr14 Sr 0.500 0.500 0.416
Sr15 Sr 0.500 0.500 0.500
Sr16 Sr 0.500 0.500 0.750
Sr17 Sr 0.500 0.500 0.833
Sr18 Sr 0.500 0.501 0.583
Sr19 Sr 0.501 0.499 0.084
Sr20 Sr 0.501 0.500 0.000
Sr21 Sr 0.501 0.501 0.333
Sr22 Sr 0.999 0.000 0.917
Sr23 Sr 0.999 0.001 0.166
Sr24 Sr 0.999 0.999 0.084
Fe1 Fe 0.000 0.499 0.208
Fe2 Fe 0.000 0.500 0.374
Fe3 Fe 0.000 0.500 0.791
Fe4 Fe 0.000 0.501 0.541
Fe5 Fe 0.001 0.500 0.042
Fe6 Fe 0.001 0.500 0.709
Fe7 Fe 0.499 0.999 0.125
Fe8 Fe 0.500 0.000 0.458
Fe9 Fe 0.500 0.000 0.625
Fe10 Fe 0.500 0.000 0.876
Fe11 Fe 0.501 0.000 0.958
Fe12 Fe 0.502 0.001 0.291
Mo1 Mo 0.000 0.500 0.458
Mo2 Mo 0.000 0.500 0.625
Mo3 Mo 0.000 0.500 0.874
Mo4 Mo 0.001 0.500 0.959
Mo5 Mo 0.002 0.501 0.291
Mo6 Mo 0.500 0.000 0.374
Mo7 Mo 0.500 0.000 0.792
Mo8 Mo 0.500 0.001 0.541
Mo9 Mo 0.500 0.999 0.208
Mo10 Mo 0.501 0.000 0.042
Mo11 Mo 0.501 0.000 0.708
Mo12 Mo 0.999 0.500 0.125
O1 O 0.000 0.499 0.416
O2 O 0.000 0.500 0.750
O3 O 0.000 0.500 0.917
O4 O 0.000 0.501 0.500
O5 O 0.000 0.501 0.833
O6 O 0.001 0.499 0.000
O7 O 0.001 0.500 0.667
O8 O 0.001 0.502 0.333
O9 O 0.005 0.503 0.084
O10 O 0.006 0.499 0.249
O11 O 0.203 0.782 0.875
O12 O 0.206 0.222 0.458
O13 O 0.206 0.222 0.625
O14 O 0.207 0.223 0.290
O15 O 0.210 0.785 0.042
O16 O 0.215 0.214 0.125
O17 O 0.215 0.787 0.207
O18 O 0.222 0.205 0.792
O19 O 0.222 0.219 0.959
O20 O 0.222 0.795 0.375
O21 O 0.222 0.795 0.541
O22 O 0.223 0.795 0.708
O23 O 0.273 0.711 0.958
O24 O 0.281 0.713 0.125
O25 O 0.285 0.289 0.374
O26 O 0.285 0.289 0.541
O27 O 0.287 0.287 0.207
O28 O 0.287 0.287 0.875
O29 O 0.288 0.289 0.708
O30 O 0.288 0.710 0.792
O31 O 0.289 0.715 0.458
O32 O 0.289 0.715 0.625
O33 O 0.290 0.717 0.291
O34 O 0.297 0.279 0.042
O35 O 0.493 0.994 0.167
O36 O 0.499 0.001 0.500
O37 O 0.499 0.001 0.583
O38 O 0.499 0.002 0.333
O39 O 0.500 0.000 0.416
O40 O 0.500 0.000 0.750
O41 O 0.500 0.000 0.834
O42 O 0.501 0.999 0.000
O43 O 0.501 0.999 0.666
O44 O 0.502 0.002 0.917
O45 O 0.504 0.004 0.248
O46 O 0.504 0.999 0.083
O47 O 0.706 0.720 0.042
O48 O 0.711 0.285 0.458
O49 O 0.711 0.285 0.625
O50 O 0.711 0.286 0.291
O51 O 0.713 0.290 0.792
O52 O 0.713 0.712 0.208
O53 O 0.714 0.711 0.708
O54 O 0.714 0.712 0.541
O55 O 0.714 0.714 0.875
O56 O 0.715 0.711 0.375
O57 O 0.718 0.285 0.126
O58 O 0.727 0.289 0.958
O59 O 0.777 0.206 0.541
O60 O 0.778 0.204 0.708
O61 O 0.778 0.206 0.374
O62 O 0.778 0.795 0.792
O63 O 0.780 0.781 0.959
O64 O 0.784 0.211 0.208
O65 O 0.785 0.786 0.126
O66 O 0.791 0.215 0.042
O67 O 0.794 0.777 0.625
O68 O 0.794 0.778 0.458
O69 O 0.795 0.778 0.291
O70 O 0.798 0.219 0.875
O71 O 0.991 0.496 0.166
O72 O 0.999 0.500 0.583